1.
## SrZnH6O5 (PBE)

Data for a geometry-optimized SrZnH6O5 structure.

abc: 6.254 6.362 7.827
angles: 74.55 66.58 72.30
Fractional positions:
Sr 0.555 0.402 0.753
Sr 0.445 0.598 0.247
Zn 0.097 0.247 0.270
Zn 0.903 0.753 0.730
H 0.009 0.946 0.180
H 0.991 0.054 0.820
H 0.095 0.612 0.046
H 0.905 0.388 0.954
H 0.695 0.193 0.423
H 0.305 0.807 0.577
H 0.724 0.812 0.472
H 0.276 0.188 0.528
H 0.435 0.978 0.726
H 0.565 0.022 0.274
H 0.254 0.048 0.933
H 0.746 0.952 0.067
O 0.164 0.976 0.156
O 0.836 0.024 0.844
O 0.227 0.494 0.068
O 0.773 0.506 0.932
O 0.753 0.325 0.410
O 0.247 0.675 0.590
O 0.665 0.789 0.610
O 0.335 0.211 0.390
O 0.308 0.103 0.789
O 0.692 0.897 0.211

Calculated values
SG: P-1, No. 2



2.
## Sr2ZnH6O6 (PBE)

Data for a geometry-optimized Sr2ZnH6O6 structure.

abc: 6.823 6.342 11.176
angles: 59.55 90.00 90.00
Fractional positions:
Sr 0.575 0.172 0.651
Sr 0.925 0.172 0.151
Sr 0.425 0.828 0.349
Sr 0.075 0.828 0.849
Zn 0.500 0.500 0.000
Zn 0.000 0.500 0.500
H 0.677 0.821 0.581
H 0.823 0.821 0.081
H 0.323 0.179 0.419
H 0.177 0.179 0.919
H 0.739 0.913 0.521
H 0.761 0.913 0.021
H 0.261 0.087 0.479
H 0.239 0.087 0.979
H 0.222 0.519 0.154
H 0.278 0.519 0.654
H 0.778 0.481 0.846
H 0.722 0.481 0.346
O 0.614 0.217 0.251
O 0.886 0.217 0.751
O 0.386 0.783 0.749
O 0.114 0.783 0.249
O 0.702 0.529 0.416
O 0.798 0.529 0.916
O 0.298 0.471 0.584
O 0.202 0.471 0.084
O 0.064 0.841 0.364
O 0.436 0.841 0.864
O 0.936 0.159 0.636
O 0.564 0.159 0.136

Calculated values
SG: P2_1/c, No. 14



3.
## Ta2H4O7 (PBE)

Data for a geometry-optimized Ta2H4O7 structure.

abc: 7.729 7.498 7.462
angles: 62.22 59.12 58.67
Fractional positions:
Ta 0.125 0.625 0.625
Ta 0.625 0.125 0.625
Ta 0.625 0.625 0.125
Ta 0.625 0.625 0.625
H 0.804 0.196 0.196
H 0.196 0.804 0.804
H 0.446 0.054 0.054
H 0.054 0.446 0.446
H 0.912 0.088 0.912
H 0.088 0.912 0.088
H 0.162 0.338 0.162
H 0.338 0.162 0.338
O 0.327 0.327 0.673
O 0.673 0.673 0.327
O 0.321 0.679 0.321
O 0.679 0.321 0.679
O 0.707 0.293 0.293
O 0.293 0.707 0.707
O 0.923 0.923 0.577
O 0.577 0.577 0.923
O 0.929 0.571 0.929
O 0.571 0.929 0.571
O 0.543 0.957 0.957
O 0.957 0.543 0.543
O 0.000 0.000 0.000
O 0.250 0.250 0.250

Calculated values
ΔE to the lowest computed polymorph in meV/atom: 111
SG: Fddd, No. 70



4.
## TaHO3 (PBE)

Data for a geometry-optimized TaHO3 structure.

abc: 7.501 7.501 7.501
angles: 117.74 117.74 93.95
Fractional positions:
Ta 0.875 0.125 0.250
Ta 0.375 0.125 0.250
Ta 0.875 0.625 0.750
Ta 0.875 0.125 0.750
H 0.699 0.699 0.000
H 0.301 0.301 0.000
H 0.449 0.949 0.500
H 0.051 0.551 0.500
O 0.794 0.794 0.000
O 0.825 0.175 0.000
O 0.825 0.825 0.649
O 0.175 0.175 0.351
O 0.544 0.044 0.500
O 0.575 0.425 0.500
O 0.175 0.825 0.000
O 0.206 0.206 0.000
O 0.575 0.075 0.149
O 0.925 0.425 0.851
O 0.925 0.075 0.500
O 0.956 0.456 0.500

Calculated values
SG: I4_1/amd, No. 141



5.
## Ta2H4O7 (PBE)

Data for a geometry-optimized Ta2H4O7 structure.

abc: 7.481 7.481 7.461
angles: 61.08 61.08 89.66
Fractional positions:
Ta 0.500 0.017 0.492
Ta 0.508 0.512 0.497
Ta 0.017 0.500 0.992
Ta 0.512 0.508 0.997
H 0.952 0.240 0.630
H 0.809 0.086 0.913
H 0.666 0.933 0.765
H 0.081 0.930 0.754
H 0.240 0.952 0.130
H 0.086 0.809 0.413
H 0.930 0.081 0.254
H 0.933 0.666 0.265
O 0.565 0.821 0.395
O 0.217 0.481 0.095
O 0.185 0.845 0.741
O 0.581 0.466 0.741
O 0.209 0.463 0.740
O 0.589 0.845 0.745
O 0.481 0.217 0.595
O 0.821 0.565 0.895
O 0.845 0.185 0.241
O 0.466 0.581 0.241
O 0.845 0.589 0.245
O 0.463 0.209 0.240
O 0.889 0.089 0.762
O 0.089 0.889 0.262

Calculated values
ΔE to the lowest computed polymorph in meV/atom: 0
SG: Cc, No. 9



6.
## Ta2H4O7 (PBE)

Data for a geometry-optimized Ta2H4O7 structure.

abc: 7.352 7.352 7.352
angles: 60.00 60.00 60.00
Fractional positions:
Ta 0.625 0.125 0.125
Ta 0.125 0.625 0.125
Ta 0.125 0.125 0.625
Ta 0.125 0.125 0.125
H 0.325 0.558 0.558
H 0.558 0.558 0.325
H 0.558 0.558 0.558
H 0.558 0.325 0.558
H 0.692 0.692 0.692
H 0.692 0.925 0.692
H 0.692 0.692 0.925
H 0.925 0.692 0.692
O 0.803 0.803 0.197
O 0.197 0.197 0.803
O 0.803 0.197 0.803
O 0.197 0.803 0.197
O 0.197 0.803 0.803
O 0.803 0.197 0.197
O 0.447 0.447 0.053
O 0.053 0.053 0.447
O 0.447 0.053 0.447
O 0.053 0.447 0.053
O 0.053 0.447 0.447
O 0.447 0.053 0.053
O 0.500 0.500 0.500
O 0.750 0.750 0.750

Calculated values
ΔE to the lowest computed polymorph in meV/atom: 487
SG: Fd-3m, No. 227



7.
## Ta2H4O7 (PBE)

Data for a geometry-optimized Ta2H4O7 structure.

abc: 8.209 7.567 7.370
angles: 66.66 57.82 55.52
Fractional positions:
Ta 0.275 0.501 0.794
Ta 0.749 0.975 0.820
Ta 0.794 0.430 0.275
Ta 0.820 0.456 0.749
H 0.620 0.880 0.620
H 0.463 0.044 0.246
H 0.246 0.247 0.463
H 0.370 0.630 0.370
H 0.003 0.004 0.206
H 0.206 0.787 0.003
H 0.230 0.270 0.230
H 0.980 0.020 0.980
O 0.046 0.757 0.717
O 0.717 0.480 0.046
O 0.074 0.426 0.074
O 0.706 0.794 0.706
O 0.647 0.881 0.110
O 0.110 0.362 0.647
O 0.493 0.204 0.770
O 0.770 0.533 0.493
O 0.456 0.544 0.456
O 0.824 0.176 0.824
O 0.888 0.140 0.369
O 0.369 0.603 0.888
O 0.318 0.182 0.318
O 0.068 0.932 0.068

Calculated values
ΔE to the lowest computed polymorph in meV/atom: 53
SG: Fdd2, No. 43



8.
## Ta2H4O7 (PBE)

Data for a geometry-optimized Ta2H4O7 structure.

abc: 7.988 7.437 7.324
angles: 65.52 57.92 56.56
Fractional positions:
Ta 0.254 0.528 0.771
Ta 0.722 0.996 0.804
Ta 0.771 0.446 0.254
Ta 0.804 0.479 0.722
H 0.589 0.911 0.589
H 0.523 0.984 0.257
H 0.257 0.235 0.523
H 0.339 0.661 0.339
H 0.015 0.993 0.266
H 0.266 0.727 0.015
H 0.295 0.205 0.295
H 0.045 0.955 0.045
O 0.021 0.787 0.696
O 0.696 0.496 0.021
O 0.047 0.453 0.047
O 0.677 0.823 0.677
O 0.630 0.887 0.102
O 0.102 0.381 0.630
O 0.463 0.229 0.754
O 0.754 0.554 0.463
O 0.427 0.573 0.427
O 0.797 0.203 0.797
O 0.869 0.148 0.363
O 0.363 0.620 0.869
O 0.383 0.117 0.383
O 0.133 0.867 0.133

Calculated values
ΔE to the lowest computed polymorph in meV/atom: 81
SG: Fdd2, No. 43



9.
## TbH3O3 (PBE)

Data for a geometry-optimized TbH3O3 structure.

abc: 6.342 6.342 3.590
angles: 90.00 90.00 120.00
Fractional positions:
Tb 0.667 0.333 0.750
Tb 0.333 0.667 0.250
H 0.725 0.860 0.750
H 0.865 0.725 0.250
H 0.135 0.275 0.750
H 0.275 0.140 0.250
H 0.860 0.135 0.250
H 0.140 0.865 0.750
O 0.917 0.604 0.250
O 0.604 0.687 0.750
O 0.083 0.396 0.750
O 0.396 0.313 0.250
O 0.687 0.083 0.250
O 0.313 0.917 0.750

Calculated values
ΔE to the lowest computed polymorph in meV/atom: 0
SG: P6_3/m, No. 176



10.
## TbHO2 (PBE)

Data for a geometry-optimized TbHO2 structure.

abc: 3.686 4.509 5.554
angles: 90.00 90.00 90.00
Fractional positions:
Tb 0.000 0.000 0.809
Tb 0.500 0.500 0.191
H 0.500 0.000 0.393
H 0.000 0.500 0.607
O 0.500 0.000 0.077
O 0.000 0.500 0.923
O 0.500 0.000 0.571
O 0.000 0.500 0.429

Calculated values
SG: Pmmn, No. 59



11.
## TbH3O3 (PBE)

Data for a geometry-optimized TbH3O3 structure.

abc: 3.516 6.333 6.440
angles: 61.43 90.00 90.00
Fractional positions:
Tb 0.750 0.341 0.326
Tb 0.250 0.659 0.674
H 0.750 0.858 0.302
H 0.750 0.269 0.863
H 0.750 0.871 0.859
H 0.250 0.142 0.698
H 0.250 0.731 0.137
H 0.250 0.129 0.141
O 0.750 0.685 0.407
O 0.750 0.391 0.915
O 0.750 0.912 0.693
O 0.250 0.315 0.593
O 0.250 0.609 0.085
O 0.250 0.088 0.307

Calculated values
ΔE to the lowest computed polymorph in meV/atom: 3
SG: P2_1/m, No. 11



12.
## TbHO2 (PBE)

Data for a geometry-optimized TbHO2 structure.

abc: 3.694 4.366 6.052
angles: 109.25 90.00 90.00
Fractional positions:
Tb 0.250 0.166 0.812
Tb 0.750 0.834 0.188
H 0.250 0.523 0.417
H 0.750 0.477 0.583
O 0.250 0.734 0.950
O 0.750 0.266 0.050
O 0.250 0.753 0.436
O 0.750 0.247 0.564

Calculated values
SG: P2_1/m, No. 11



Computed mass density, in the same sequence as the records: 2.958; 2.730; 5.202; 4.962; 5.197; 5.648; 5.016; 5.237; 5.575; 6.906; 5.537; 6.917 g cm⁻³.
Computed total energy after the MP2020 corrections, in the same sequence as the records: -139.88; -148.55; -202.15; -173.41; -205.02; -192.37; -203.63; -202.92; -90.74; -59.14; -90.70; -59.81 eV per cell.